# 1
DFT (GGA+U) results for an optimized crystal structure of MgTl4V2O7.

POSCAR file:
```
MgTl4V2O7
1.0
6.144 0.000 0.000
-3.072 5.321 0.000
0.000 0.000 8.588
Mg Tl V O
1 4 2 7
direct
0.000 0.000 0.000 Mg
0.333 0.667 0.078 Tl
0.333 0.667 0.637 Tl
0.667 0.333 0.363 Tl
0.667 0.333 0.922 Tl
0.000 0.000 0.288 V
0.000 0.000 0.712 V
0.000 0.000 0.500 O
0.147 0.295 0.821 O
0.147 0.853 0.821 O
0.295 0.147 0.179 O
0.705 0.853 0.821 O
0.853 0.147 0.179 O
0.853 0.705 0.179 O
```

The calculation puts the volume at 20.06 Å³/atom. Its formation energy is -1640 meV per atom.

---

# 2
DFT (GGA+U) results for an optimized crystal structure of Li4Fe7P6O24.

POSCAR file:
```
Li4Fe7P6O24
1.0
5.584 -7.056 0.000
5.584 7.056 0.000
-1.651 0.000 6.301
Li Fe P O
4 7 6 24
direct
0.000 0.000 0.000 Li
0.273 0.508 0.026 Li
0.508 0.273 0.026 Li
0.695 0.695 0.089 Li
0.288 0.575 0.538 Fe
0.292 0.926 0.372 Fe
0.575 0.288 0.538 Fe
0.578 0.941 0.744 Fe
0.926 0.292 0.372 Fe
0.929 0.929 0.543 Fe
0.941 0.578 0.744 Fe
0.021 0.647 0.260 P
0.218 0.832 0.844 P
0.247 0.247 0.636 P
0.609 0.609 0.481 P
0.647 0.021 0.260 P
0.832 0.218 0.844 P
0.040 0.829 0.785 O
0.047 0.826 0.335 O
0.120 0.120 0.684 O
0.170 0.349 0.498 O
0.188 0.624 0.247 O
0.214 0.654 0.825 O
0.281 0.936 0.064 O
0.319 0.892 0.685 O
0.349 0.170 0.498 O
0.355 0.355 0.839 O
0.489 0.489 0.299 O
0.518 0.695 0.627 O
0.549 0.963 0.423 O
0.600 0.900 0.048 O
0.624 0.188 0.247 O
0.654 0.214 0.825 O
0.695 0.518 0.627 O
0.727 0.727 0.401 O
0.826 0.047 0.335 O
0.829 0.040 0.785 O
0.892 0.319 0.685 O
0.900 0.600 0.048 O
0.936 0.281 0.064 O
0.963 0.549 0.423 O
```

The calculation puts the volume at 12.11 Å³/atom. Its formation energy is -2365 meV per atom.

---

# 3
DFT (GGA+U) results for an optimized crystal structure of Ca16Mn14Al2O43.

POSCAR file:
```
Ca16Mn14Al2O43
1.0
10.840 0.000 0.000
0.257 10.909 0.000
0.034 0.023 15.271
Ca Mn Al O
32 28 4 86
direct
0.000 0.000 0.000 Ca
0.000 0.031 0.765 Ca
0.008 0.521 0.010 Ca
0.008 0.568 0.744 Ca
0.230 0.270 0.995 Ca
0.244 0.795 0.761 Ca
0.250 0.297 0.749 Ca
0.251 0.779 0.240 Ca
0.255 0.744 0.500 Ca
0.258 0.760 0.004 Ca
0.259 0.292 0.231 Ca
0.266 0.297 0.506 Ca
0.485 0.000 0.489 Ca
0.490 0.019 0.764 Ca
0.496 0.991 0.999 Ca
0.502 0.568 0.739 Ca
0.504 0.528 0.010 Ca
0.506 0.521 0.500 Ca
0.507 0.559 0.252 Ca
0.518 0.051 0.245 Ca
0.726 0.300 0.489 Ca
0.742 0.806 0.244 Ca
0.744 0.301 0.249 Ca
0.755 0.787 0.759 Ca
0.757 0.752 0.002 Ca
0.757 0.752 0.497 Ca
0.763 0.266 0.007 Ca
0.766 0.298 0.732 Ca
0.986 0.030 0.234 Ca
0.987 0.990 0.493 Ca
0.994 0.514 0.504 Ca
0.999 0.560 0.242 Ca
0.001 0.277 0.125 Mn
0.007 0.770 0.879 Mn
0.018 0.286 0.623 Mn
0.234 0.020 0.634 Mn
0.250 0.030 0.881 Mn
0.252 0.523 0.121 Mn
0.254 0.535 0.632 Mn
0.258 0.012 0.358 Mn
0.258 0.533 0.370 Mn
0.478 0.277 0.880 Mn
0.487 0.281 0.370 Mn
0.496 0.787 0.621 Mn
0.500 0.783 0.125 Mn
0.503 0.778 0.375 Mn
0.505 0.774 0.875 Mn
0.514 0.287 0.629 Mn
0.731 0.023 0.634 Mn
0.744 0.031 0.373 Mn
0.746 0.035 0.118 Mn
0.751 0.531 0.126 Mn
0.751 0.537 0.371 Mn
0.754 0.537 0.627 Mn
0.756 0.019 0.880 Mn
0.763 0.524 0.874 Mn
0.971 0.260 0.388 Mn
0.998 0.779 0.124 Mn
0.998 0.784 0.622 Mn
0.999 0.779 0.372 Mn
0.232 0.017 0.124 Al
0.273 0.545 0.877 Al
0.517 0.303 0.124 Al
0.979 0.256 0.873 Al
0.027 0.318 0.976 O
0.041 0.786 0.495 O
0.044 0.781 0.002 O
0.052 0.288 0.495 O
0.079 0.942 0.631 O
0.098 0.942 0.356 O
0.104 0.418 0.146 O
0.106 0.915 0.143 O
0.113 0.921 0.863 O
0.116 0.434 0.651 O
0.136 0.667 0.143 O
0.142 0.670 0.348 O
0.145 0.175 0.858 O
0.147 0.170 0.132 O
0.148 0.659 0.855 O
0.153 0.682 0.644 O
0.171 0.180 0.627 O
0.219 0.523 0.497 O
0.221 0.535 0.996 O
0.222 0.045 0.004 O
0.284 0.021 0.753 O
0.287 0.519 0.245 O
0.288 0.526 0.754 O
0.293 0.048 0.235 O
0.328 0.371 0.375 O
0.336 0.386 0.882 O
0.342 0.899 0.592 O
0.350 0.129 0.414 O
0.350 0.876 0.401 O
0.358 0.880 0.896 O
0.359 0.897 0.103 O
0.360 0.375 0.628 O
0.361 0.366 0.102 O
0.390 0.643 0.109 O
0.400 0.636 0.605 O
0.402 0.121 0.898 O
0.407 0.635 0.392 O
0.409 0.633 0.892 O
0.460 0.785 0.748 O
0.464 0.780 0.250 O
0.469 0.264 0.243 O
0.505 0.296 0.501 O
0.509 0.245 0.758 O
0.542 0.787 0.498 O
0.543 0.305 0.992 O
0.543 0.778 0.999 O
0.576 0.944 0.631 O
0.596 0.934 0.363 O
0.604 0.929 0.138 O
0.607 0.434 0.146 O
0.612 0.428 0.359 O
0.614 0.916 0.856 O
0.617 0.434 0.646 O
0.634 0.179 0.136 O
0.636 0.175 0.366 O
0.643 0.659 0.849 O
0.645 0.677 0.144 O
0.649 0.685 0.646 O
0.651 0.683 0.352 O
0.664 0.181 0.615 O
0.699 0.055 0.993 O
0.718 0.531 0.998 O
0.718 0.538 0.500 O
0.775 0.028 0.243 O
0.782 0.047 0.752 O
0.791 0.521 0.249 O
0.797 0.519 0.749 O
0.824 0.357 0.875 O
0.841 0.901 0.596 O
0.851 0.889 0.397 O
0.852 0.383 0.115 O
0.853 0.891 0.098 O
0.863 0.134 0.431 O
0.863 0.869 0.895 O
0.864 0.374 0.602 O
0.864 0.399 0.392 O
0.892 0.637 0.106 O
0.894 0.134 0.101 O
0.895 0.121 0.897 O
0.900 0.639 0.608 O
0.901 0.637 0.393 O
0.912 0.625 0.892 O
0.956 0.780 0.247 O
0.970 0.784 0.750 O
0.979 0.258 0.748 O
0.980 0.241 0.268 O
```

The calculation puts the volume at 12.04 Å³/atom. Its formation energy is -2609 meV per atom.

---

Look up the formation energy of the third one. -2609 meV per atom

---

Look up the formation energy of the second one. -2365 meV per atom

---

Which of these has the lowest formation energy? Ca16Mn14Al2O43